Record 1
VASP calculation (r2SCAN) on a geometry-optimized LaScSb structure.

abc: 8.971 8.971 8.971
angles: 150.59 150.59 42.08
Positions (direct):
La 0.825 0.825 0.000
La 0.175 0.175 0.000
Sc 0.000 0.500 0.500
Sc 0.500 0.000 0.500
Sb 0.624 0.624 0.000
Sb 0.376 0.376 0.000

**Energy of formation**: -1.0233 eV per atom
**Space group**: No. 139

---

Record 2
VASP calculation (r2SCAN) on a geometry-optimized LaSbTe structure.

abc: 4.411 4.454 19.465
angles: 90.00 90.00 90.00
Positions (direct):
La 0.250 0.763 0.140
La 0.750 0.263 0.360
La 0.250 0.737 0.640
La 0.750 0.237 0.860
Sb 0.250 0.282 0.001
Sb 0.750 0.782 0.499
Sb 0.250 0.218 0.501
Sb 0.750 0.718 0.999
Te 0.750 0.262 0.187
Te 0.250 0.762 0.313
Te 0.750 0.238 0.687
Te 0.250 0.738 0.813

**Energy of formation**: -1.4847 eV per atom
**Space group**: No. 62

---

Record 3
VASP calculation (r2SCAN) on a geometry-optimized LaSbTe structure.

abc: 4.410 4.410 9.740
angles: 90.00 90.00 90.00
Positions (direct):
La 0.750 0.750 0.722
La 0.250 0.250 0.278
Sb 0.750 0.250 0.000
Sb 0.250 0.750 0.000
Te 0.750 0.750 0.373
Te 0.250 0.250 0.627

**Energy of formation**: -1.4720 eV per atom
**Space group**: No. 129

---

Record 4
VASP calculation (r2SCAN) on a geometry-optimized La3TiSb5 structure.

abc: 9.655 9.655 6.263
angles: 90.00 90.00 120.00
Positions (direct):
La 0.380 0.000 0.750
La 0.380 0.380 0.250
La 0.000 0.620 0.250
La 0.000 0.380 0.750
La 0.620 0.620 0.750
La 0.620 0.000 0.250
Ti 0.000 0.000 0.000
Ti 0.000 0.000 0.500
Sb 0.667 0.333 0.500
Sb 0.333 0.667 0.000
Sb 0.753 0.000 0.750
Sb 0.753 0.753 0.250
Sb 0.333 0.667 0.500
Sb 0.667 0.333 0.000
Sb 0.247 0.000 0.250
Sb 0.247 0.247 0.750
Sb 0.000 0.753 0.750
Sb 0.000 0.247 0.250

**Energy of formation**: -1.1540 eV per atom
**Space group**: No. 193

---

Calculated total energy values (in eV/atom) by entry order: -23.306; -28.441; -28.428; -26.788.